VASP calculation (PBE) on an optimized crystal structure of Mg15Al.

POSCAR file:
```
Mg15Al
1.0
3.183 -5.513 0.000
3.183 5.513 0.000
0.000 0.000 10.248
Mg Al
15 1
Cartesian
0.000 0.000 0.000 Mg
4.784 0.913 2.587 Mg
3.183 3.686 2.587 Mg
1.597 -2.753 5.124 Mg
3.183 -0.007 5.124 Mg
4.784 0.913 7.662 Mg
3.183 -1.838 2.562 Mg
3.183 3.686 7.662 Mg
4.772 2.755 0.000 Mg
1.582 0.913 2.587 Mg
1.593 2.755 0.000 Mg
1.582 0.913 7.662 Mg
3.183 0.002 0.000 Mg
3.183 -1.838 7.686 Mg
4.768 -2.753 5.124 Mg
0.000 0.000 5.124 Al
```


VASP calculation (PBE) on an optimized crystal structure of Mg16Al13.

POSCAR file:
```
Mg16Al13
1.0
5.242 -7.448 0.000
5.242 7.448 0.000
-5.340 0.000 7.378
Al Mg
13 16
Cartesian
2.246 -1.348 7.359 Al
4.268 4.701 1.376 Al
2.246 1.348 7.359 Al
0.917 -1.382 2.711 Al
3.394 0.000 4.869 Al
-2.412 0.000 6.033 Al
4.200 2.723 5.997 Al
6.116 1.375 4.661 Al
0.917 1.382 2.711 Al
2.881 0.000 1.341 Al
4.200 -2.723 5.997 Al
4.268 -4.701 1.376 Al
6.116 -1.375 4.661 Al
5.640 0.000 2.108 Mg
3.695 -2.324 2.954 Mg
5.129 0.000 7.357 Mg
-0.529 -2.126 7.377 Mg
3.686 -5.092 4.438 Mg
0.394 0.000 5.256 Mg
1.430 2.963 5.043 Mg
3.695 2.324 2.954 Mg
-0.529 2.126 7.377 Mg
-1.846 0.000 2.566 Mg
6.706 -2.966 2.332 Mg
1.823 -2.582 0.008 Mg
6.706 2.966 2.332 Mg
1.430 -2.963 5.043 Mg
3.686 5.092 4.438 Mg
1.823 2.582 0.008 Mg
```

Results
M_tot ... 0.00 μB per atom
E above lowest polymorph ... 4 meV/atom


VASP calculation (PBE) on an optimized crystal structure of Mg3Al.

POSCAR file:
```
Mg3Al
1.0
-2.191 2.191 4.391
2.191 -2.191 4.391
2.191 2.191 -4.391
Mg Al
3 1
Cartesian
0.000 2.191 2.195 Mg
2.191 0.000 2.195 Mg
0.000 0.000 4.391 Mg
0.000 0.000 0.000 Al
```


VASP calculation (PBE) on an optimized crystal structure of Mg3Al.

POSCAR file:
```
Mg3Al
1.0
0.000 3.465 3.465
3.465 0.000 3.465
3.465 3.465 0.000
Mg Al
3 1
Cartesian
1.733 1.733 1.733 Mg
0.000 0.000 0.000 Mg
5.198 5.198 5.198 Mg
3.465 3.465 3.465 Al
```

Results
M_tot ... 0.00 μB per atom


no.,energy of formation from the pure elements (meV per atom),total energy (eV/cell)
1,11,-27.57
2,-19,-74.84
3,17,-8.48
4,48,-8.35